Record 1
MnPH4O5F after structural relaxation, computed with PBE+U.

extended XYZ file:
```
24
Lattice="5.423 -0.003 1.474 1.637 5.384 0.838 0.017 -0.073 8.529" Properties=species:S:1:pos:R:3 pbc="T T T"
O 5.056 2.667 3.562
H 5.862 2.089 3.491
H 4.672 3.172 5.624
H 1.718 1.723 7.486
O 2.810 3.666 1.867
O 4.644 3.838 6.341
O 2.022 2.641 7.280
O 2.433 1.470 4.500
P 2.291 4.892 2.633
H 5.359 3.586 3.355
O 5.504 4.587 9.056
H 2.405 2.136 5.217
F 2.298 4.388 4.165
H 5.262 4.542 6.064
Mn 3.422 1.588 2.493
O 0.824 0.102 7.032
F 4.779 0.920 6.676
O 1.573 0.721 1.785
O 4.267 1.642 8.974
H 1.215 3.219 7.350
H 1.815 0.766 4.777
O 6.253 5.206 3.810
Mn 3.655 3.720 8.348
P 4.786 0.417 8.208
```

Summary:
DFT total energy	-145.75	eV/cell
space group	P-1

=====

Record 2
Ti3NbCr2P6O24 after structural relaxation, computed with PBE+U.

extended XYZ file:
```
36
Lattice="-1.733 4.309 7.480 1.137 -3.920 7.802 6.527 2.486 5.361" Properties=species:S:1:pos:R:3 pbc="T T T"
O 3.593 3.567 14.198
O 2.114 2.693 8.509
O 2.633 4.957 9.359
O 6.090 3.335 9.723
O 1.411 0.180 9.061
O 0.971 -2.287 9.475
P 0.612 2.662 12.730
O 5.666 1.598 13.877
P 4.153 -1.327 12.268
O 0.229 4.377 8.760
O -0.104 -0.476 10.902
Cr 2.965 1.437 10.321
O 2.029 2.174 12.352
P 0.348 -0.870 9.466
O 4.537 2.677 11.561
O 3.789 0.168 12.126
O 5.923 -0.384 9.157
O -0.010 3.315 11.479
O 2.865 2.078 5.910
O 4.989 5.132 11.176
Ti 2.108 1.022 7.339
O 3.257 -2.124 11.297
O 3.899 0.725 8.270
O 5.666 -1.507 11.906
O 2.349 -0.671 6.441
O -0.233 1.427 13.192
Ti 0.859 0.416 2.990
P 5.620 3.699 11.147
O 0.279 1.255 6.767
O 3.042 0.797 14.742
Nb 5.077 2.461 17.671
Cr 0.015 0.007 0.054
Ti 3.825 1.854 13.312
P 1.715 4.183 8.370
O 6.180 1.487 7.453
P 5.326 0.269 7.878
```

Summary:
DFT total energy	-284.70	eV/cell
space group	R3

=====

Record 3
Li9Mn2Co5O16 after structural relaxation, computed with PBE+U.

extended XYZ file:
```
32
Lattice="5.072 0.000 0.000 -1.708 4.834 0.000 -0.152 -0.177 11.578" Properties=species:S:1:pos:R:3 pbc="T T T"
Co 0.688 4.661 10.223
O 3.235 0.984 8.629
O 2.467 3.598 7.242
O 2.403 3.542 10.193
O -0.112 3.594 8.694
Co 3.254 4.677 8.695
O -0.030 3.686 5.762
Li 1.567 2.288 8.699
Li 1.662 2.425 0.059
Mn 3.359 4.804 0.070
Mn 2.492 -0.046 4.254
Li 1.642 2.360 2.811
Li -0.846 2.427 1.407
Co 2.455 -0.091 7.269
Li 4.061 2.248 10.155
O 3.279 0.895 11.496
O 0.867 1.014 4.289
O 3.394 1.025 2.977
Li 1.617 2.329 5.801
O 2.443 3.732 4.288
Co -0.066 -0.060 5.783
O 0.639 0.922 10.183
O 2.609 3.705 1.445
O 3.303 1.015 5.722
Li -0.905 2.358 4.291
Co -1.745 4.789 2.879
O -0.280 3.545 11.545
O 0.690 1.065 1.463
Li 2.515 -0.022 1.458
Li -0.947 2.303 7.266
O 0.714 1.023 7.224
O -0.102 3.712 2.980
```

Summary:
DFT total energy	-186.97	eV/cell
space group	P1
energy relative to the lowest polymorph listed for this composition	12	meV per atom

=====

Record 4
Na3CoO3 after structural relaxation, computed with PBE+U.

extended XYZ file:
```
28
Lattice="-4.796 4.796 4.796 4.796 -4.796 4.796 4.796 4.796 -4.796" Properties=species:S:1:pos:R:3 pbc="T T T"
Na 3.660 3.660 1.018
O -1.448 3.605 3.605
Na -1.135 3.777 1.135
O 6.243 1.191 -1.191
Na 3.777 -1.135 1.135
Co 3.055 -3.055 3.055
O -1.191 6.243 1.191
O 1.191 1.191 3.348
O 3.605 3.605 -1.448
Na -1.135 1.135 3.777
Na 1.018 3.660 3.660
Na 3.660 1.018 3.660
Co -3.055 3.055 3.055
Na 5.814 1.135 1.135
Na 1.135 -1.135 3.777
Na 1.135 5.814 1.135
Na 1.135 3.777 -1.135
O 1.191 3.348 1.191
Na 1.135 1.135 5.814
O 6.243 -1.191 1.191
O 1.191 -1.191 6.243
Co 1.741 1.741 1.741
O 3.605 -1.448 3.605
O 1.191 6.243 -1.191
Co 3.055 3.055 -3.055
O 3.348 1.191 1.191
O -1.191 1.191 6.243
Na 3.777 1.135 -1.135
```

Summary:
DFT total energy	-132.11	eV/cell
space group	I-43m
energy relative to the lowest polymorph listed for this composition	31	meV per atom

=====

Record 5
VCoO4 after structural relaxation, computed with PBE+U.

extended XYZ file:
```
12
Lattice="2.753 -4.155 0.000 2.753 4.155 0.000 0.000 0.000 5.863" Properties=species:S:1:pos:R:3 pbc="T T T"
O 4.243 0.154 4.397
Co 0.000 0.000 0.000
V 2.753 1.230 4.397
O 1.264 -0.154 1.466
O 2.753 -2.268 0.139
O 2.753 -2.268 2.792
Co 0.000 0.000 2.932
O 2.753 2.268 3.071
O 4.243 -0.154 1.466
V 2.753 -1.230 1.466
O 1.264 0.154 4.397
O 2.753 2.268 5.724
```

Summary:
DFT total energy	-81.67	eV/cell
space group	Cmcm

=====

Record 6
Li4TiCo3O8 after structural relaxation, computed with PBE+U.

extended XYZ file:
```
32
Lattice="1.112 0.558 5.780 -5.472 0.872 -2.141 0.215 -9.527 4.054" Properties=species:S:1:pos:R:3 pbc="T T T"
O -2.915 -7.754 4.369
Li -3.674 -6.367 2.879
O -2.355 -2.627 5.203
Li -3.765 -1.579 0.869
O 0.301 -3.134 6.292
O -1.256 -5.202 5.269
O -4.447 -4.962 1.402
Li -1.042 -2.014 1.930
Co 0.107 -4.764 2.027
O -1.231 -0.343 3.324
Li -3.104 -6.082 5.763
O -1.803 -0.735 0.368
Li -0.471 -1.730 4.815
O -2.890 -2.895 2.424
Co -2.180 0.715 1.819
O 0.518 -7.872 8.322
Ti 1.112 0.558 5.780
Ti -2.073 -4.048 3.847
O -1.791 -5.470 2.491
O -4.041 -0.011 2.343
Co 0.771 -9.248 6.945
O -0.105 -8.085 5.350
O -3.881 -4.772 4.239
Li -3.223 -1.328 3.733
Co -2.629 -4.328 0.956
Co 0.663 -4.484 4.917
O -2.343 -7.362 7.325
Li -0.923 -6.768 3.960
O -4.664 -0.224 -0.629
O -0.264 -3.325 3.454
Co -2.736 0.436 -1.071
Li -0.380 -6.518 6.824
```

Summary:
DFT total energy	-198.39	eV/cell
space group	P-1
energy relative to the lowest polymorph listed for this composition	11	meV per atom

=====

Record 7
Fe5P3O17 after structural relaxation, computed with PBE+U.

extended XYZ file:
```
50
Lattice="-5.488 0.374 4.877 1.570 -3.538 -6.250 6.963 -12.442 8.791" Properties=species:S:1:pos:R:3 pbc="T T T"
O 2.380 -6.488 -1.139
O 5.920 -13.645 4.573
O -2.893 -1.975 2.838
O -0.430 -7.502 3.834
O -1.172 -1.229 1.212
Fe 2.706 -5.989 0.890
P 0.164 -6.642 5.022
P -2.704 -1.517 1.401
O 7.242 -14.479 2.215
O 0.912 -8.917 8.644
O 3.502 -12.689 9.829
P 5.792 -14.053 6.032
O -2.449 -4.816 7.609
O 1.427 -5.873 4.493
O -4.416 -1.303 5.126
O 4.273 -14.399 6.304
Fe -3.909 -3.156 -1.370
O 4.872 -12.607 2.235
O 3.214 -11.637 7.396
Fe 3.448 -7.530 -2.430
O 0.611 -7.524 6.179
O -0.295 -4.070 -0.022
Fe -0.428 -9.377 3.026
O 6.175 -12.796 6.892
O 2.134 -9.707 6.033
Fe 2.209 -8.106 7.183
O 3.576 -8.152 3.611
O 2.613 -11.901 5.023
P 3.116 -10.865 6.092
Fe -0.411 -8.081 9.845
O 1.529 -4.968 -2.213
O 5.276 -10.965 -0.268
Fe 0.890 -10.404 11.487
O -3.105 -2.721 0.456
Fe 2.147 -5.208 -4.072
Fe 1.165 -3.236 -1.055
Fe 3.750 -10.859 9.129
O 1.597 -9.619 2.926
O 0.785 -5.999 1.341
O 2.636 -7.918 1.309
O -0.870 -5.590 5.393
O 4.564 -10.343 5.683
O -3.006 -3.950 4.770
O 3.896 -10.029 2.018
P 2.925 -8.928 2.412
P -0.120 -4.780 1.309
O -1.549 -5.303 1.701
O -0.255 -2.753 -2.340
O 1.763 -10.437 9.718
O 0.377 -3.731 2.399
```

Summary:
DFT total energy	-331.59	eV/cell
space group	Ama2

=====

Record 8
FeBiO3 after structural relaxation, computed with PBE+U.

extended XYZ file:
```
5
Lattice="5.431 0.000 0.000 2.288 4.956 0.000 2.114 1.411 4.905" Properties=species:S:1:pos:R:3 pbc="T T T"
Fe 2.700 1.755 1.390
O 2.674 3.097 0.163
O 3.688 0.285 0.921
Bi 0.157 0.209 0.052
O 1.734 1.746 2.938
```

Summary:
DFT total energy	-29.07	eV/cell
space group	P1

=====

Record 9
Li19V12O32 after structural relaxation, computed with PBE+U.

extended XYZ file:
```
63
Lattice="4.045 6.060 0.000 -4.045 6.060 0.000 0.000 3.709 11.886" Properties=species:S:1:pos:R:3 pbc="T T T"
V 2.024 3.617 0.829
O 0.000 4.359 6.596
V -2.043 7.298 6.623
O 0.000 4.303 9.768
O 0.000 7.089 6.568
V 0.000 15.230 11.035
Li 0.000 8.614 5.169
Li 0.000 2.854 8.000
Li 2.066 9.916 3.878
O 0.000 10.344 9.747
Li -2.035 6.891 0.718
O -2.033 8.526 2.146
O 2.022 12.207 11.216
O 0.000 4.189 3.737
O 2.029 5.969 8.140
Li 2.025 10.505 9.386
Li 0.000 8.869 8.050
Li 0.000 5.734 8.069
O 0.000 12.790 3.607
O 0.000 3.926 0.729
V -2.024 3.617 0.829
Li 0.000 11.748 8.093
Li 2.018 7.141 3.826
O 0.000 7.560 9.808
V 0.000 9.167 11.041
O 0.000 6.854 3.739
V 2.043 7.298 6.623
V 0.000 5.489 5.239
O -2.040 5.704 5.302
O 0.000 10.195 3.753
V 2.025 7.392 9.604
O 0.000 13.076 6.549
Li -2.025 10.505 9.386
O -2.024 8.879 11.174
Li 2.057 10.157 6.695
V 0.000 5.435 2.268
Li 2.035 6.891 0.718
O -2.029 5.969 8.140
O 2.040 5.704 5.302
O 0.000 9.970 0.745
Li -2.066 9.916 3.878
V 0.000 11.473 2.291
Li 0.000 8.355 2.466
O 0.000 13.621 9.823
V 0.000 11.543 5.286
V -2.025 7.392 9.604
O 2.037 8.675 8.102
O 2.095 5.252 2.082
Li -2.057 10.157 6.695
Li 0.000 11.958 11.147
Li -2.018 7.141 3.826
O 0.000 10.309 6.550
O -2.022 12.207 11.216
O 1.976 8.502 5.332
O -2.037 8.675 8.102
O -1.976 8.502 5.332
O -2.095 5.252 2.082
O 0.000 0.567 0.698
Li 0.000 5.918 11.157
O 2.033 8.526 2.146
Li 0.000 2.375 2.581
O 0.000 6.655 0.676
O 2.024 8.879 11.174
```

Summary:
DFT total energy	-415.05	eV/cell
space group	Cm

=====

Record 10
GaFeO3 after structural relaxation, computed with PBE+U.

extended XYZ file:
```
40
Lattice="-3.779 -2.922 1.969 5.519 -6.929 0.311 2.651 2.507 8.810" Properties=species:S:1:pos:R:3 pbc="T T T"
Fe 1.661 -0.151 5.558
O 4.267 0.028 8.415
Fe 4.908 -6.912 3.571
O -1.933 -1.420 3.083
Ga 3.196 -4.560 8.664
Ga 1.496 -2.499 3.428
Ga 3.701 -4.218 5.254
O 0.837 -1.069 2.097
O 3.455 -2.629 9.334
Ga 2.884 -7.027 6.299
O 1.685 -6.116 3.013
O 1.134 -6.417 6.031
O 3.912 -6.072 5.097
O 2.294 -1.617 6.710
Ga 0.184 -1.567 0.398
Fe 4.041 -1.756 7.526
Ga 6.069 -4.333 7.734
O 2.698 -3.400 2.253
O 6.075 -6.159 7.182
Fe 0.607 -5.345 4.420
O 3.278 -6.535 8.078
O -0.782 -4.023 5.756
Ga -1.377 -2.726 4.357
Fe 1.843 -8.032 2.585
O 0.306 -1.555 4.727
O 1.161 0.966 3.840
Fe -0.260 -0.189 8.375
O 1.489 -0.317 9.349
O 4.461 -5.768 2.078
O 6.095 -2.449 8.399
O 1.444 -4.178 8.012
O -0.075 -3.758 3.136
O 5.007 -4.916 9.429
Fe 2.650 -5.212 1.540
O -0.482 -1.965 7.645
Ga -0.632 -4.376 1.443
Fe 0.854 -2.970 6.604
O 1.903 -3.799 4.973
O 4.198 -7.395 10.466
O 4.190 -3.846 7.039
```

Summary:
DFT total energy	-254.29	eV/cell
space group	Pna2_1

=====

Record 11
Li9Co7O16 after structural relaxation, computed with PBE+U.

extended XYZ file:
```
32
Lattice="-1.156 -1.707 -2.156 1.225 -8.027 5.387 -8.762 -0.644 5.009" Properties=species:S:1:pos:R:3 pbc="T T T"
O -3.581 -2.930 0.048
O -4.623 -5.003 2.155
O -1.765 -3.960 1.743
Co -5.937 -9.347 8.047
Li -7.971 -3.412 4.664
O -6.928 -6.418 6.496
Co -2.322 -6.268 5.890
Li -4.381 -0.322 2.505
Co -1.893 -3.873 -0.145
Li -5.151 -7.282 6.114
Co -2.756 -1.031 0.192
O 0.392 -5.171 3.665
O -7.668 -8.537 8.181
O -1.025 -1.841 0.059
Co -6.371 -4.110 2.349
O -0.641 -7.177 5.708
O -9.085 -5.207 4.574
O -3.240 -8.168 5.795
Co -4.347 -5.189 4.120
O -8.052 -3.202 2.532
O -5.112 -7.449 8.192
Li -2.680 -5.875 1.768
Li -0.723 -6.966 3.576
Li 0.035 -4.867 1.615
Li -6.013 -4.503 6.472
Li 0.000 0.000 0.000
Li -3.542 -3.096 2.126
Co -6.800 -6.506 8.385
O -4.071 -5.375 6.085
O -6.102 -4.245 4.369
O -2.591 -6.133 3.870
O -5.453 -2.210 2.444
```

Summary:
DFT total energy	-177.11	eV/cell
space group	P-1
energy relative to the lowest polymorph listed for this composition	85	meV per atom

=====

Result set for energy of formation: -1.97, -2.80, -1.85, -1.54, -1.82, -2.07, -1.84, -1.24, -2.44, -1.95, -1.67 eV per atom, one per record in the order listed.